# KNb6S8 PBE relaxed
# - Crystal system: trigonal
# - E_form: -1.40 eV per atom
data_KNb6S8
_cell_length_a 9.7135
_cell_length_b 9.7135
_cell_length_c 3.4272
_cell_angle_alpha 90.00
_cell_angle_beta 90.00
_cell_angle_gamma 120.00
_space_group_name_H-M_alt 'P -3'
_space_group_IT_number 147
_space_group_name_Hall '-P 3'
loop_
_atom_site_label
_atom_site_fract_x
_atom_site_fract_y
_atom_site_fract_z
K1 0.0000 0.0000 0.0000
Nb1 0.1120 0.6249 0.2494
S1 0.0563 0.3446 0.2518
S2 0.3333 0.6667 0.7498



# K4Nb2S11 PBE relaxed
# - Crystal system: orthorhombic
# - E_form: -1.22 eV per atom
data_K4Nb2S11
_cell_length_a 13.533
_cell_length_b 7.575
_cell_length_c 18.423
_cell_angle_alpha 90.00
_cell_angle_beta 90.00
_cell_angle_gamma 90.00
_space_group_name_H-M_alt 'P c a 21'
_space_group_IT_number 29
_space_group_name_Hall 'P 2c -2ac'
loop_
_atom_site_label
_atom_site_fract_x
_atom_site_fract_y
_atom_site_fract_z
K1 0.039 0.217 0.000
K2 0.091 0.186 0.295
K3 0.216 0.793 0.148
K4 0.225 0.669 0.895
Nb1 0.055 0.260 0.741
Nb2 0.117 0.197 0.558
S1 0.014 0.028 0.648
S2 0.017 0.466 0.639
S3 0.045 0.755 0.001
S4 0.066 0.393 0.452
S5 0.089 0.746 0.303
S6 0.094 0.577 0.726
S7 0.154 0.018 0.795
S8 0.173 0.258 0.848
S9 0.183 0.966 0.497
S10 0.236 0.224 0.662
S11 0.240 0.397 0.076



# K2NbS7 PBE relaxed
# - Crystal system: monoclinic
# - E_form: -1.12 eV per atom
data_K2NbS7
_cell_length_a 22.161
_cell_length_b 8.022
_cell_length_c 12.800
_cell_angle_alpha 90.00
_cell_angle_beta 99.52
_cell_angle_gamma 90.00
_space_group_name_H-M_alt 'P 1 21/c 1'
_space_group_IT_number 14
_space_group_name_Hall '-P 2ybc'
loop_
_atom_site_label
_atom_site_fract_x
_atom_site_fract_y
_atom_site_fract_z
K1 0.026 0.142 0.140
K2 0.163 0.073 0.512
K3 0.306 0.024 0.931
K4 0.445 0.557 0.160
Nb1 0.213 0.542 0.685
Nb2 0.368 0.521 0.834
S1 0.037 0.620 0.101
S2 0.039 0.234 0.896
S3 0.095 0.635 0.245
S4 0.123 0.618 0.773
S5 0.170 0.522 0.516
S6 0.192 0.225 0.272
S7 0.245 0.663 0.210
S8 0.275 0.211 0.217
S9 0.277 0.613 0.904
S10 0.314 0.683 0.671
S11 0.326 0.079 0.489
S12 0.411 0.113 0.188
S13 0.428 0.243 0.331
S14 0.438 0.713 0.899